# 1
DFT (GGA-PBE) results for crystalline Na10LaTa7Si12O48 at its relaxed geometry.

a = 18.1943 Å, b = 9.1109 Å, c = 22.6530 Å
α = 89.98°, β = 90.00°, γ = 120.16°
Closest atoms and distances in Å follow each position.
Element x y z (fractional)
O1 0.7514 0.8633 0.3564  1 Si 1.66
O2 0.5883 0.1712 0.8082  1 Si 1.62
O3 0.3447 0.1562 0.7534  1 Si 1.61
O4 0.7649 0.8399 0.4710  1 Si 1.63
O5 0.9219 0.0246 0.0870  1 Si 1.66
O6 0.2380 0.1729 0.2433  1 Si 1.64
O7 0.5663 0.4932 0.8554  1 Si 1.67
O8 0.0851 0.1871 0.4117  1 Si 1.63
O9 0.3205 0.1425 0.1408  1 Si 1.65
O10 0.2382 0.3094 0.0271  1 Si 1.63
O11 0.2527 0.1461 0.9231  1 Si 1.63
O12 0.6700 0.8424 0.5673  1 Si 1.63
O13 0.3446 0.5220 0.5304  1 Si 1.66
O14 0.0782 0.6546 0.0687  1 Si 1.62
O15 0.8448 0.5208 0.5302  1 Si 1.64
O16 0.7602 0.6851 0.9727  1 Si 1.63
O17 0.5797 0.6881 0.4709  1 Si 1.63
O18 0.3194 0.4920 0.9224  1 Si 1.62
O19 0.0131 0.1960 0.1918  1 Si 1.67
O20 0.9187 0.8269 0.3065  1 Si 1.63
O21 0.9288 0.3638 0.9271  1 Si 1.65
O22 0.1764 0.5014 0.0778  1 Si 1.65
O23 0.6802 0.8630 0.8588  1 Si 1.67
O24 0.9871 0.8183 0.0874  1 Si 1.65
O25 0.5873 0.9776 0.1892  1 Si 1.64
O26 0.8484 0.1734 0.0321  1 Si 1.65
O27 0.4039 0.8298 0.1930  1 Si 1.63
O28 0.4276 0.4906 0.4243  1 Si 1.65
O29 0.7519 0.8390 0.0689  1 Si 1.64
O30 0.8209 0.1463 0.4254  1 Si 1.64
O31 0.0926 0.0308 0.5877  1 Si 1.64
O32 0.5933 0.7106 0.7554  1 Si 1.66
O33 0.3240 0.1522 0.4239  1 Si 1.65
O34 0.7543 0.1467 0.9256  1 Si 1.64
O35 0.0850 0.1966 0.6911  1 Si 1.68
O36 0.4019 0.9746 0.6911  1 Si 1.68
O37 0.0836 0.9771 0.9119  1 Si 1.64
O38 0.5874 0.4704 0.2567  1 Si 1.66
O39 0.1800 0.8651 0.8565  1 Si 1.67
O40 0.9137 0.3050 0.5331  1 Si 1.65
O41 0.0878 0.1710 0.8087  1 Si 1.62
O42 0.8043 0.0714 0.1451  1 Si 1.62
O43 0.6476 0.8184 0.2568  1 Si 1.66
O44 0.4219 0.5340 0.7533  1 Si 1.61
O45 0.4169 0.3071 0.5295  1 Si 1.66
O46 0.5851 0.1973 0.6909  1 Si 1.68
O47 0.5129 0.8354 0.6939  1 Si 1.68
O48 0.2659 0.8456 0.4737  1 Si 1.62
O49 0.9019 0.8308 0.1907  1 Si 1.67
O50 0.4887 0.1573 0.5858  1 Si 1.66
O51 0.9201 0.3070 0.2540  1 Si 1.61
O52 0.5833 0.4906 0.5691  1 Si 1.64
O53 0.9053 0.8321 0.9121  1 Si 1.64
O54 0.8447 0.1566 0.7536  1 Si 1.61
O55 0.7613 0.7059 0.2557  1 Si 1.66
O56 0.5789 0.4782 0.9693  1 Si 1.63
O57 0.1511 0.8245 0.2556  1 Si 1.65
O58 0.9213 0.5342 0.7535  1 Si 1.61
O59 0.0821 0.9698 0.1941  1 Si 1.67
O60 0.0689 0.4980 0.8595  1 Si 1.67
O61 0.4298 0.5022 0.1406  1 Si 1.65
O62 0.9189 0.8223 0.5875  1 Si 1.64
O63 0.4158 0.3098 0.2430  1 Si 1.64
O64 0.9267 0.4926 0.4249  1 Si 1.64
O65 0.9077 0.9816 0.4088  1 Si 1.64
O66 0.7321 0.0702 0.6452  1 Si 1.62
O67 0.4978 0.8220 0.8101  1 Si 1.62
O68 0.2482 0.3605 0.1442  1 Si 1.65
O69 0.2600 0.6888 0.2558  1 Si 1.65
O70 0.4247 0.3580 0.9213  1 Si 1.62
O71 0.2541 0.3594 0.4241  1 Si 1.65
O72 0.5809 0.1893 0.4082  1 Si 1.65
O73 0.4634 0.3787 0.6465  1 Si 1.61
O74 0.1591 0.4732 0.4722  1 Si 1.63
O75 0.8193 0.4934 0.9259  1 Si 1.64
O76 0.5850 0.0093 0.3058  1 Si 1.65
O77 0.9886 0.1576 0.5865  1 Si 1.66
O78 0.7525 0.3552 0.4245  1 Si 1.63
O79 0.0114 0.8315 0.4084  1 Si 1.63
O80 0.6799 0.4933 0.3552  1 Si 1.66
O81 0.9975 0.8226 0.8103  1 Si 1.62
O82 0.2507 0.8573 0.0762  1 Si 1.64
O83 0.4076 0.9880 0.4114  1 Si 1.64
O84 0.2613 0.8139 0.7552  1 Si 1.66
O85 0.7536 0.6664 0.5665  1 Si 1.64
O86 0.7615 0.8145 0.7556  1 Si 1.66
O87 0.5098 0.1880 0.9109  1 Si 1.63
O88 0.0915 0.4797 0.2546  1 Si 1.66
O89 0.2511 0.8613 0.3588  1 Si 1.65
O90 0.3423 0.5182 0.2447  1 Si 1.64
O91 0.0127 0.8353 0.6940  1 Si 1.68
O92 0.7381 0.1713 0.5318  1 Si 1.65
O93 0.4144 0.0038 0.8083  1 Si 1.62
O94 0.0665 0.6375 0.3538  1 Si 1.65
O95 0.0824 0.4907 0.5693  1 Si 1.64
O96 0.7338 0.3110 0.7526  1 Si 1.61
O97 0.2536 0.6681 0.5680  1 Si 1.64
O98 0.5145 0.1886 0.1950  1 Si 1.64
O99 0.9630 0.5385 0.1457  1 Si 1.62
O100 0.5848 0.9826 0.9110  1 Si 1.63
O101 0.0998 0.0262 0.3086  1 Si 1.63
O102 0.9137 0.5257 0.0322  1 Si 1.66
O103 0.1447 0.4761 0.7557  1 Si 1.66
O104 0.3023 0.5338 0.6439  1 Si 1.61
O105 0.6539 0.8414 0.9751  1 Si 1.63
O106 0.2527 0.6403 0.8571  1 Si 1.67
O107 0.6529 0.4694 0.4695  1 Si 1.64
O108 0.4107 0.8051 0.3093  1 Si 1.64
O109 0.5924 0.0293 0.5880  1 Si 1.64
O110 0.4172 0.5258 0.0250  1 Si 1.63
O111 0.8455 0.5336 0.2538  1 Si 1.61
O112 0.0003 0.1750 0.3083  1 Si 1.63
O113 0.9141 0.0039 0.8090  1 Si 1.62
O114 0.2332 0.3106 0.7530  1 Si 1.61
O115 0.5742 0.6541 0.0765  1 Si 1.66
O116 0.0832 0.4713 0.9765  1 Si 1.63
O117 0.0105 0.1893 0.9119  1 Si 1.64
O118 0.0820 0.6845 0.4680  1 Si 1.63
O119 0.7319 0.1562 0.2545  1 Si 1.62
O120 0.2388 0.1700 0.5315  1 Si 1.67
O121 0.1684 0.8410 0.5675  1 Si 1.62
O122 0.9650 0.3793 0.6482  1 Si 1.61
O123 0.4062 0.8326 0.9111  1 Si 1.64
O124 0.3469 0.1680 0.0254  1 Si 1.63
O125 0.7517 0.6384 0.8574  1 Si 1.67
O126 0.0924 0.7085 0.7555  1 Si 1.65
O127 0.5668 0.6338 0.3589  1 Si 1.65
O128 0.4194 0.8223 0.5873  1 Si 1.64
O129 0.4850 0.1720 0.3109  1 Si 1.65
O130 0.6679 0.4930 0.0672  1 Si 1.63
O131 0.5078 0.8334 0.4104  1 Si 1.63
O132 0.1596 0.8345 0.9711  1 Si 1.63
O133 0.4880 0.8118 0.0904  1 Si 1.65
O134 0.0952 0.1705 0.0924  1 Si 1.67
O135 0.7386 0.3045 0.0322  1 Si 1.66
O136 0.2324 0.0710 0.6448  1 Si 1.62
O137 0.6459 0.4774 0.7553  1 Si 1.66
O138 0.7306 0.3927 0.1447  1 Si 1.62
O139 0.9020 0.9747 0.6915  1 Si 1.68
O140 0.2644 0.6885 0.9726  1 Si 1.63
O141 0.8021 0.5351 0.6439  1 Si 1.62
O142 0.1804 0.4954 0.3565  1 Si 1.65
O143 0.4178 0.0282 0.0923  1 Si 1.65
O144 0.5906 0.1502 0.0865  1 Si 1.64
Ta1 0.1700 0.6714 0.3119  6 O 1.93-2.07
Ta2 0.9997 0.9966 0.6457  6 O 1.94-2.07
Ta3 0.4959 0.9931 0.3548  6 O 1.91-2.07
Ta4 0.6606 0.6589 0.0165  6 O 1.90-2.06
Ta5 0.0031 0.0032 0.3575  6 O 1.94-2.02
Ta6 0.0037 0.0017 0.1452  6 O 1.94-2.08
Ta7 0.4957 0.9964 0.1444  6 O 1.94-2.06
Ta8 0.6667 0.6666 0.8147  6 O 1.94-2.07
Ta9 0.6657 0.6684 0.5136  6 O 1.92-2.01
Ta10 0.8342 0.3335 0.4790  6 O 1.99-2.02
Ta11 0.0001 0.0009 0.8604  6 O 1.96-2.01
Ta12 0.5001 0.0000 0.8598  6 O 1.96-2.00
Ta13 0.1669 0.6666 0.8152  6 O 1.94-2.08
Ta14 0.1646 0.6661 0.5139  6 O 1.90-2.02
Ta15 0.5002 0.9974 0.6458  6 O 1.94-2.08
Ta16 0.3369 0.3340 0.1870  6 O 1.93-2.09
Ta17 0.3327 0.3327 0.9776  6 O 1.97-2.02
Ta18 0.8338 0.3349 0.9793  6 O 2.00-2.01
Ta19 0.1735 0.6761 0.0197  6 O 1.92-2.09
Ta20 0.6637 0.6655 0.3119  6 O 1.95-2.06
Ta21 0.3309 0.3353 0.4800  6 O 1.96-2.05
Na1 0.1590 0.6658 0.6647  6 O 2.52-2.78
Na2 0.8316 0.9743 0.5815  4 O 2.45-2.58
Na3 0.3327 0.3327 0.8364  6 O 2.48-2.56
Na4 0.1770 0.6912 0.1631  6 O 2.43-2.72
Na5 0.1556 0.3400 0.5829  4 O 2.36-2.63
Na6 0.3335 0.3332 0.3314  6 O 2.54-2.64
Na7 0.6571 0.3400 0.5820  4 O 2.37-2.65
Na8 0.8294 0.6868 0.0817  4 O 2.44-2.67
Na9 0.8326 0.3320 0.3338  6 O 2.49-2.62
Na10 0.4848 0.3013 0.4161  5 O 2.43-2.66
Na11 0.3311 0.9726 0.5820  4 O 2.42-2.60
Na12 0.5018 0.9814 0.4982  6 O 2.44-2.66
Na13 0.9997 0.9894 0.4973  6 O 2.53-2.60
Na14 0.8136 0.0077 0.2493  5 O 2.42-2.62
Na15 0.6597 0.6668 0.6642  6 O 2.52-2.80
Na16 0.6904 0.0118 0.7497  5 O 2.41-2.70
Na17 0.6507 0.9652 0.0840  5 O 2.43-2.67
Na18 0.0074 0.0010 0.9982  6 O 2.47-2.65
Na19 0.1903 0.0112 0.7507  6 O 2.42-2.70
Na20 0.0190 0.3423 0.0809  5 O 2.48-2.64
Na21 0.6858 0.3657 0.2485  6 O 2.42-2.71
Na22 0.6554 0.6509 0.1653  6 O 2.50-2.79
Na23 0.4926 0.9993 0.0001  6 O 2.54-2.68
Na24 0.8150 0.6209 0.7497  5 O 2.41-2.67
Na25 0.4949 0.3676 0.7498  5 O 2.41-2.69
Na26 0.8337 0.3334 0.8348  6 O 2.52-2.64
Na27 0.9950 0.3684 0.7496  4 O 2.37-2.47
Na28 0.9971 0.6235 0.2492  6 O 2.45-2.66
Na29 0.3147 0.6203 0.7506  5 O 2.40-2.69
Na30 0.1865 0.3690 0.2483  5 O 2.40-2.63
Si1 0.6403 0.2899 0.7526  4 O 1.61-1.68
Si2 0.3326 0.6363 0.5823  4 O 1.61-1.66
Si3 0.8560 0.7200 0.2519  4 O 1.61-1.67
Si4 0.8130 0.9607 0.4141  4 O 1.63-1.66
Si5 0.3552 0.9907 0.7528  4 O 1.61-1.68
Si6 0.1687 0.9590 0.9164  4 O 1.63-1.67
Si7 0.1925 0.3390 0.0842  4 O 1.63-1.67
Si8 0.1686 0.3767 0.4148  4 O 1.63-1.65
Si9 0.8323 0.0295 0.0824  4 O 1.62-1.66
Si10 0.0226 0.3796 0.9194  4 O 1.63-1.67
Si11 0.0042 0.2906 0.2524  4 O 1.61-1.67
Si12 0.5189 0.6673 0.4151  4 O 1.63-1.65
Si13 0.1397 0.2893 0.7528  4 O 1.61-1.68
Si14 0.3336 0.0487 0.0826  4 O 1.63-1.65
Si15 0.3556 0.7100 0.2501  4 O 1.63-1.65
Si16 0.5049 0.7205 0.7539  4 O 1.61-1.68
Si17 0.4864 0.3372 0.5825  4 O 1.61-1.66
Si18 0.0047 0.7206 0.7542  4 O 1.61-1.68
Si19 0.4982 0.2841 0.2508  4 O 1.64-1.66
Si20 0.0197 0.6615 0.4127  4 O 1.63-1.65
Si21 0.6692 0.3748 0.4136  4 O 1.63-1.66
Si22 0.6823 0.0283 0.5827  4 O 1.62-1.65
Si23 0.8554 0.9914 0.7531  4 O 1.61-1.68
Si24 0.6682 0.9607 0.9173  4 O 1.63-1.67
Si25 0.5170 0.3737 0.9142  4 O 1.62-1.67
Si26 0.6382 0.9894 0.2506  4 O 1.62-1.66
Si27 0.3116 0.9612 0.4160  4 O 1.62-1.65
Si28 0.8107 0.6633 0.9171  4 O 1.63-1.67
Si29 0.9859 0.3370 0.5835  4 O 1.61-1.66
Si30 0.6802 0.3314 0.0823  4 O 1.62-1.66
Si31 0.4761 0.6212 0.0821  4 O 1.63-1.66
Si32 0.1814 0.0264 0.5830  4 O 1.62-1.67
Si33 0.8329 0.6346 0.5815  4 O 1.62-1.64
Si34 0.3124 0.6622 0.9163  4 O 1.62-1.67
Si35 0.1459 0.9995 0.2512  4 O 1.63-1.67
Si36 0.9864 0.6363 0.0828  4 O 1.62-1.66
La1 0.8319 0.3325 0.1785  6 O 2.29-2.44
La2 0.3351 0.3361 0.6783  6 O 2.28-2.43
La3 0.8355 0.3368 0.6771  6 O 2.28-2.45

Energy relative to the elements   -3.12 eV/atom
Symmetry   No. 1
Size of the total moment   0.00 μB per formula unit

# 2
DFT (GGA-PBE) results for crystalline SbS8Cl3 at its relaxed geometry.

a = 8.5831 Å, b = 9.4503 Å, c = 11.5333 Å
α = 97.10°, β = 107.94°, γ = 109.02°
Closest atoms and distances in Å follow each position.
Element x y z (fractional)
Cl1 0.5029 0.0423 0.7901  1 Sb 2.39
Cl2 0.4971 0.9577 0.2099  1 Sb 2.39
Cl3 0.2253 0.0976 0.0014  1 Sb 2.42
Cl4 0.7747 0.9024 0.9986  1 Sb 2.42
Cl5 0.7525 0.8544 0.6834  1 Sb 2.39
Cl6 0.2475 0.1456 0.3166  1 Sb 2.39
S1 0.2661 0.7886 0.4293  2 S 2.07
S2 0.2735 0.5747 0.3762  2 S 2.06-2.07
S3 0.1569 0.2410 0.6534  2 S 2.06-2.07
S4 0.8541 0.5075 0.8157  2 S 2.06-2.07
S5 0.8431 0.7590 0.3466  2 S 2.06-2.07
S6 0.1132 0.6554 0.8566  2 S 2.07
S7 0.1459 0.4925 0.1843  2 S 2.06-2.07
S8 0.6732 0.5323 0.2574  2 S 2.06-2.07
S9 0.8868 0.3446 0.1434  2 S 2.07
S10 0.7265 0.4253 0.6238  2 S 2.06-2.07
S11 0.9407 0.2359 0.5089  2 S 2.06-2.07
S12 0.3268 0.4677 0.7426  2 S 2.06-2.07
S13 0.0593 0.7641 0.4911  2 S 2.06-2.07
S14 0.2780 0.5358 0.8999  2 S 2.06-2.07
S15 0.7339 0.2114 0.5707  2 S 2.07
S16 0.7220 0.4642 0.1001  2 S 2.06-2.07
Sb1 0.8019 0.0599 0.8503  3 Cl 2.39-2.42
Sb2 0.1981 0.9401 0.1497  3 Cl 2.39-2.42

Energy relative to the elements   -0.78 eV/atom
Symmetry   No. 2

# 3
DFT (GGA-PBE) results for crystalline CoTe2Pd2 at its relaxed geometry.

a = 6.9520 Å, b = 6.9520 Å, c = 6.9520 Å
α = 135.60°, β = 125.84°, γ = 72.55°
Closest atoms and distances in Å follow each position.
Element x y z (fractional)
Pd1 0.7384 0.1059 0.6325  5 Te 2.68-2.96, 1 Pd 2.91, 2 Co 2.92
Pd2 0.5266 0.3941 0.1325  5 Te 2.68-2.96, 1 Pd 2.91, 2 Co 2.92
Pd3 0.2616 0.8941 0.3675  5 Te 2.68-2.96, 1 Pd 2.91, 2 Co 2.92
Pd4 0.4734 0.6059 0.8675  5 Te 2.68-2.96, 1 Pd 2.91, 2 Co 2.92
Co1 0.0000 0.2500 0.2500  4 Te 2.49, 2 Co 2.63
Co2 0.0000 0.7500 0.7500  4 Te 2.49, 2 Co 2.63
Te1 0.6411 0.8561 0.7851  2 Co 2.49, 1 Pd 2.68
Te2 0.3589 0.1439 0.2149  2 Co 2.49, 1 Pd 2.68
Te3 0.0710 0.3561 0.7149  2 Co 2.49, 1 Pd 2.68
Te4 0.9290 0.6439 0.2851  2 Co 2.49, 1 Pd 2.68

Energy relative to the elements   -0.30 eV/atom
Symmetry   No. 72

Which of these has the highest energy relative to the elements?
CoTe2Pd2